No. 1
Na5Ga7H12S13O6: relaxed, PBE-GGA. Values from VASP.

Summary:
symmetry = F-43c, No. 219

Cell and atoms, written as Quantum ESPRESSO input:
```
&SYSTEM
  ibrav = 0, nat = 86, ntyp = 5
/
ATOMIC_SPECIES
Na 22.99 Na.upf
Ga 69.72 Ga.upf
H 1.01 H.upf
S 32.06 S.upf
O 16.00 O.upf
CELL_PARAMETERS angstrom
8.902 -0.723 -8.846
-1.584 -7.574 -9.907
-2.048 4.900 -11.393
ATOMIC_POSITIONS crystal
Na 0.392 0.823 0.392
Na 0.392 0.392 0.823
Na 0.823 0.392 0.392
Na 0.392 0.392 0.392
Na 0.323 0.892 0.892
Na 0.892 0.892 0.323
Na 0.892 0.323 0.892
Na 0.892 0.892 0.892
Na 0.500 0.500 0.500
Na 0.000 0.000 0.000
Ga 0.500 0.000 0.000
Ga 0.500 0.000 0.500
Ga 0.000 0.000 0.500
Ga 0.000 0.500 0.000
Ga 0.500 0.500 0.000
Ga 0.000 0.500 0.500
Ga 0.486 0.171 0.171
Ga 0.171 0.171 0.486
Ga 0.171 0.171 0.171
Ga 0.171 0.486 0.171
Ga 0.671 0.986 0.671
Ga 0.671 0.671 0.986
Ga 0.671 0.671 0.671
Ga 0.986 0.671 0.671
H 0.671 0.662 0.271
H 0.396 0.662 0.671
H 0.271 0.662 0.396
H 0.396 0.271 0.662
H 0.271 0.671 0.662
H 0.671 0.396 0.662
H 0.662 0.671 0.396
H 0.662 0.396 0.271
H 0.662 0.271 0.671
H 0.271 0.396 0.671
H 0.671 0.271 0.396
H 0.396 0.671 0.271
H 0.162 0.171 0.771
H 0.162 0.896 0.171
H 0.162 0.771 0.896
H 0.771 0.896 0.162
H 0.171 0.771 0.162
H 0.896 0.171 0.162
H 0.171 0.162 0.896
H 0.896 0.162 0.771
H 0.771 0.162 0.171
H 0.896 0.771 0.171
H 0.771 0.171 0.896
H 0.171 0.896 0.771
S 0.552 0.970 0.168
S 0.311 0.970 0.552
S 0.168 0.970 0.311
S 0.311 0.168 0.970
S 0.168 0.552 0.970
S 0.552 0.311 0.970
S 0.970 0.552 0.311
S 0.970 0.311 0.168
S 0.970 0.168 0.552
S 0.168 0.311 0.552
S 0.552 0.168 0.311
S 0.311 0.552 0.168
S 0.470 0.052 0.668
S 0.470 0.811 0.052
S 0.470 0.668 0.811
S 0.668 0.811 0.470
S 0.052 0.668 0.470
S 0.811 0.052 0.470
S 0.052 0.470 0.811
S 0.811 0.470 0.668
S 0.668 0.470 0.052
S 0.811 0.668 0.052
S 0.668 0.052 0.811
S 0.052 0.811 0.668
S 0.250 0.250 0.250
S 0.750 0.750 0.750
O 0.632 0.632 0.368
O 0.368 0.632 0.632
O 0.368 0.632 0.368
O 0.368 0.368 0.632
O 0.632 0.368 0.632
O 0.632 0.368 0.368
O 0.132 0.132 0.868
O 0.132 0.868 0.132
O 0.132 0.868 0.868
O 0.868 0.868 0.132
O 0.868 0.132 0.132
O 0.868 0.132 0.868
```

No. 2
Na6Ga5Si7H15O32: relaxed, PBE-GGA. Values from VASP.

Summary:
ΔE to the lowest computed polymorph = 0.017 eV/atom
symmetry = P1, No. 1

Cell and atoms, written as Quantum ESPRESSO input:
```
&SYSTEM
  ibrav = 0, nat = 65, ntyp = 5
/
ATOMIC_SPECIES
Na 22.99 Na.upf
Ga 69.72 Ga.upf
Si 28.09 Si.upf
H 1.01 H.upf
O 16.00 O.upf
CELL_PARAMETERS angstrom
-4.520 6.915 2.955
-7.498 -5.371 1.013
2.721 -1.984 8.681
ATOMIC_POSITIONS crystal
Na 0.352 0.382 0.378
Na 0.349 0.637 0.622
Na 0.625 0.651 0.341
Na 0.622 0.331 0.658
Na 0.885 0.134 0.132
Na 0.974 0.895 0.873
Ga 0.029 0.259 0.505
Ga 0.368 0.968 0.794
Ga 0.461 0.006 0.230
Ga 0.754 0.499 0.004
Ga 0.752 0.994 0.504
Si 0.005 0.501 0.746
Si 0.250 0.496 0.996
Si 0.248 0.989 0.500
Si 0.487 0.248 0.997
Si 0.492 0.741 0.001
Si 0.020 0.501 0.253
Si 0.007 0.736 0.495
H 0.179 0.126 0.217
H 0.324 0.682 0.317
H 0.336 0.326 0.686
H 0.598 0.284 0.271
H 0.589 0.766 0.775
H 0.769 0.234 0.401
H 0.724 0.722 0.615
H 0.730 0.396 0.279
H 0.725 0.610 0.735
H 0.780 0.779 0.097
H 0.772 0.221 0.897
H 0.723 0.913 0.259
H 0.722 0.075 0.742
H 0.941 0.821 0.167
H 0.931 0.196 0.824
O 0.085 0.390 0.370
O 0.052 0.624 0.626
O 0.121 0.161 0.135
O 0.208 0.865 0.834
O 0.143 0.551 0.130
O 0.144 0.461 0.855
O 0.138 0.850 0.451
O 0.137 0.110 0.574
O 0.321 0.064 0.356
O 0.390 0.932 0.595
O 0.358 0.365 0.048
O 0.371 0.621 0.947
O 0.385 0.620 0.376
O 0.383 0.390 0.618
O 0.427 0.854 0.115
O 0.439 0.142 0.869
O 0.547 0.168 0.146
O 0.554 0.831 0.858
O 0.649 0.353 0.343
O 0.652 0.653 0.664
O 0.645 0.659 0.071
O 0.642 0.341 0.941
O 0.644 0.933 0.335
O 0.654 0.064 0.657
O 0.854 0.824 0.546
O 0.850 0.161 0.424
O 0.861 0.447 0.169
O 0.863 0.565 0.846
O 0.852 0.862 0.117
O 0.851 0.144 0.877
O 0.961 0.646 0.345
O 0.943 0.357 0.662
```

No. 3
Na6Ga5Si7H15O32: relaxed, PBE-GGA. Values from VASP.

Summary:
ΔE to the lowest computed polymorph = 0.000 eV/atom
symmetry = P1, No. 1

Cell and atoms, written as Quantum ESPRESSO input:
```
&SYSTEM
  ibrav = 0, nat = 65, ntyp = 5
/
ATOMIC_SPECIES
Na 22.99 Na.upf
Ga 69.72 Ga.upf
Si 28.09 Si.upf
H 1.01 H.upf
O 16.00 O.upf
CELL_PARAMETERS angstrom
-3.999 7.573 -2.353
-7.851 -3.108 3.878
2.662 3.722 8.147
ATOMIC_POSITIONS crystal
Na 0.351 0.380 0.376
Na 0.348 0.640 0.619
Na 0.625 0.655 0.345
Na 0.594 0.313 0.665
Na 0.882 0.159 0.145
Na 0.026 0.955 0.947
Ga 0.035 0.261 0.507
Ga 0.354 0.966 0.801
Ga 0.459 0.004 0.233
Ga 0.752 0.498 0.001
Ga 0.766 0.997 0.496
Si 0.001 0.502 0.746
Si 0.248 0.493 0.996
Si 0.251 0.992 0.501
Si 0.482 0.246 0.995
Si 0.493 0.738 0.007
Si 0.021 0.498 0.250
Si 0.011 0.736 0.494
H 0.171 0.120 0.190
H 0.333 0.682 0.315
H 0.321 0.325 0.684
H 0.601 0.279 0.269
H 0.582 0.780 0.782
H 0.781 0.229 0.397
H 0.723 0.729 0.613
H 0.731 0.393 0.280
H 0.722 0.615 0.730
H 0.781 0.785 0.097
H 0.768 0.215 0.897
H 0.719 0.919 0.256
H 0.740 0.073 0.734
H 0.932 0.825 0.183
H 0.922 0.206 0.822
O 0.084 0.377 0.357
O 0.045 0.625 0.626
O 0.112 0.112 0.102
O 0.203 0.851 0.837
O 0.144 0.543 0.130
O 0.141 0.466 0.855
O 0.148 0.845 0.457
O 0.137 0.109 0.572
O 0.320 0.065 0.356
O 0.389 0.946 0.605
O 0.348 0.355 0.044
O 0.374 0.614 0.955
O 0.388 0.617 0.377
O 0.364 0.390 0.615
O 0.430 0.843 0.127
O 0.436 0.141 0.864
O 0.541 0.164 0.143
O 0.542 0.836 0.866
O 0.653 0.345 0.341
O 0.650 0.665 0.663
O 0.649 0.658 0.067
O 0.634 0.341 0.943
O 0.645 0.940 0.333
O 0.678 0.080 0.645
O 0.856 0.823 0.529
O 0.865 0.158 0.409
O 0.864 0.442 0.165
O 0.857 0.555 0.841
O 0.848 0.868 0.131
O 0.854 0.149 0.881
O 0.971 0.643 0.344
O 0.948 0.354 0.660
```

Record order is preserved below.
Calculated volume: 1404.48, 757.95, 770.82 Å³/cell
Record order is preserved below.
Magnetization: 0.00, 0.00, 0.00 μB/f.u.
Record order is preserved below.
Formation energy from the elements: -52.63, -137.42, -138.50 eV/f.u.